Record 1
VASP calculation (PBE) on a geometry-optimized SmNi2 structure.

abc: 5.1225 5.1225 5.1225
angles: 60.00 60.00 60.00
Positions (direct):
1 Sm 0.5000 0.5000 0.5000
2 Sm 0.7500 0.7500 0.7500
3 Ni 0.1250 0.1250 0.1250
4 Ni 0.6250 0.1250 0.1250
5 Ni 0.1250 0.6250 0.1250
6 Ni 0.1250 0.1250 0.6250

=====

Record 2
VASP calculation (PBE) on a geometry-optimized Cu structure.

abc: 2.5406 2.5406 24.7439
angles: 90.00 90.00 120.00
Positions (direct):
1 Cu 0.6667 0.3333 0.9175
2 Cu 0.0000 0.0000 0.0019
3 Cu 0.3333 0.6667 0.8336
4 Cu 0.6667 0.3333 0.6658
5 Cu 0.0000 0.0000 0.7497
6 Cu 0.3333 0.6667 0.5814

Computed properties:
relative energy among the computed polymorphs = 0.1591 eV per atom

=====

Record 3
VASP calculation (PBE) on a geometry-optimized Li2FeS2 structure.

abc: 3.8056 3.8056 6.0849
angles: 90.00 90.00 120.00
Positions (direct):
1 Li 0.6667 0.3333 0.6408
2 Li 0.3333 0.6667 0.3592
3 Fe 0.0000 0.0000 0.0000
4 S 0.6667 0.3333 0.2241
5 S 0.3333 0.6667 0.7759

Computed properties:
total moment = 4.0 μB per cell
relative energy among the computed polymorphs = 0.1200 eV per atom

=====

Record 4
VASP calculation (PBE) on a geometry-optimized Be12W structure.

abc: 5.5134 5.5134 5.5134
angles: 98.33 98.33 135.27
Positions (direct):
1 Be 0.3508 0.0000 0.3508
2 Be 0.5000 0.0000 0.0000
3 Be 0.0000 0.3508 0.3508
4 Be 0.2892 0.5000 0.7892
5 Be 0.6492 0.0000 0.6492
6 Be 0.5000 0.5000 0.5000
7 Be 0.0000 0.6492 0.6492
8 Be 0.5000 0.7108 0.2108
9 Be 0.7108 0.5000 0.2108
10 Be 0.0000 0.0000 0.5000
11 Be 0.5000 0.2892 0.7892
12 Be 0.0000 0.5000 0.0000
13 W 0.0000 0.0000 0.0000

=====

Record 5
VASP calculation (PBE) on a geometry-optimized CeSe2 structure.

abc: 12.5239 16.3915 33.1383
angles: 90.00 90.00 98.86
Positions (direct):
1 Ce 0.0606 0.7848 0.5027
2 Ce 0.9394 0.2152 0.0027
3 Ce 0.9394 0.2152 0.4973
4 Ce 0.0606 0.7848 0.9973
5 Ce 0.0776 0.0257 0.6067
6 Ce 0.9224 0.9743 0.1067
7 Ce 0.9224 0.9743 0.3933
8 Ce 0.0776 0.0257 0.8933
9 Ce 0.6922 0.6557 0.5569
10 Ce 0.3078 0.3443 0.0569
11 Ce 0.3078 0.3443 0.4431
12 Ce 0.6922 0.6557 0.9431
13 Ce 0.7087 0.8806 0.6710
14 Ce 0.2913 0.1194 0.1710
15 Ce 0.2913 0.1194 0.3290
16 Ce 0.7087 0.8806 0.8290
17 Ce 0.4097 0.6705 0.4457
18 Ce 0.5903 0.3295 0.9457
19 Ce 0.5903 0.3295 0.5543
20 Ce 0.4097 0.6705 0.0543
21 Ce 0.4654 0.1160 0.6709
22 Ce 0.5346 0.8840 0.1709
23 Ce 0.5346 0.8840 0.3291
24 Ce 0.4654 0.1160 0.8291
25 Se 0.1266 0.9098 0.5546
26 Se 0.8734 0.0902 0.0546
27 Se 0.8734 0.0902 0.4454
28 Se 0.1266 0.9098 0.9454
29 Se 0.9787 0.8461 0.4356
30 Se 0.0213 0.1539 0.9356
31 Se 0.0213 0.1539 0.5644
32 Se 0.9787 0.8461 0.0644
33 Se 0.2303 0.7086 0.4822
34 Se 0.7697 0.2914 0.9822
35 Se 0.7697 0.2914 0.5178
36 Se 0.2303 0.7086 0.0178
37 Se 0.9052 0.6751 0.5384
38 Se 0.0948 0.3249 0.0384
39 Se 0.0948 0.3249 0.4616
40 Se 0.9052 0.6751 0.9616
41 Se 0.9098 0.9592 0.6538
42 Se 0.0902 0.0408 0.1538
43 Se 0.0902 0.0408 0.3462
44 Se 0.9098 0.9592 0.8462
45 Se 0.2520 0.0797 0.6534
46 Se 0.7480 0.9203 0.1534
47 Se 0.7480 0.9203 0.3466
48 Se 0.2520 0.0797 0.8466
49 Se 0.5821 0.7110 0.4950
50 Se 0.4179 0.2890 0.9950
51 Se 0.4179 0.2890 0.5050
52 Se 0.5821 0.7110 0.0050
53 Se 0.6172 0.4937 0.5697
54 Se 0.3828 0.5063 0.0697
55 Se 0.3828 0.5063 0.4303
56 Se 0.6172 0.4937 0.9303
57 Se 0.6647 0.7437 0.6243
58 Se 0.3353 0.2563 0.1243
59 Se 0.3353 0.2563 0.3757
60 Se 0.6647 0.7437 0.8757
61 Se 0.5629 0.9827 0.6559
62 Se 0.4371 0.0173 0.1559
63 Se 0.4371 0.0173 0.3441
64 Se 0.5629 0.9827 0.8441
65 Se 0.6976 0.8367 0.7500
66 Se 0.3024 0.1633 0.2500
67 Se 0.4438 0.7560 0.3756
68 Se 0.5562 0.2440 0.8756
69 Se 0.5562 0.2440 0.6244
70 Se 0.4438 0.7560 0.1244
71 Se 0.4904 0.1568 0.7500
72 Se 0.5096 0.8432 0.2500

Computed properties:
total moment = 0.0 μB per cell

=====

Record 6
VASP calculation (PBE) on a geometry-optimized SrSn2Au2 structure.

abc: 4.7846 4.7846 11.3656
angles: 90.00 90.00 90.00
Positions (direct):
1 Sr 0.0000 0.5000 0.2597
2 Sr 0.5000 0.0000 0.7403
3 Sn 0.0000 0.0000 0.0000
4 Sn 0.5000 0.5000 0.0000
5 Sn 0.0000 0.5000 0.6279
6 Sn 0.5000 0.0000 0.3721
7 Au 0.0000 0.0000 0.5000
8 Au 0.5000 0.5000 0.5000
9 Au 0.0000 0.5000 0.8630
10 Au 0.5000 0.0000 0.1370

=====

Record 7
VASP calculation (PBE) on a geometry-optimized Os2C7O7 structure.

abc: 9.6070 9.6070 11.9946
angles: 89.83 89.83 88.42
Positions (direct):
1 Os 0.7127 0.3218 0.1317
2 Os 0.6782 0.2873 0.3683
3 Os 0.2873 0.6782 0.8683
4 Os 0.3218 0.7127 0.6317
5 Os 0.9495 0.2555 0.2751
6 Os 0.7445 0.0505 0.2249
7 Os 0.0505 0.7445 0.7249
8 Os 0.2555 0.9495 0.7751
9 C 0.5226 0.2958 0.1029
10 C 0.7042 0.4774 0.3971
11 C 0.4774 0.7042 0.8971
12 C 0.2958 0.5226 0.6029
13 C 0.6869 0.5157 0.1544
14 C 0.4843 0.3131 0.3456
15 C 0.3131 0.4843 0.8456
16 C 0.5157 0.6869 0.6544
17 C 0.7516 0.3470 0.9763
18 C 0.6530 0.2484 0.5237
19 C 0.2484 0.6530 0.0237
20 C 0.3470 0.7516 0.4763
21 C 0.1100 0.1320 0.2694
22 C 0.8680 0.8900 0.2306
23 C 0.8900 0.8680 0.7306
24 C 0.1320 0.1100 0.7694
25 C 0.0322 0.4238 0.3250
26 C 0.5762 0.9678 0.1750
27 C 0.9678 0.5762 0.6750
28 C 0.4238 0.0322 0.8250
29 C 0.9869 0.3092 0.1189
30 C 0.6908 0.0131 0.3811
31 C 0.0131 0.6908 0.8811
32 C 0.3092 0.9869 0.6189
33 C 0.9224 0.1982 0.4319
34 C 0.8018 0.0776 0.0681
35 C 0.0776 0.8018 0.5681
36 C 0.1982 0.9224 0.9319
37 O 0.4057 0.2793 0.0830
38 O 0.7207 0.5943 0.4170
39 O 0.5943 0.7207 0.9170
40 O 0.2793 0.4057 0.5830
41 O 0.6649 0.6346 0.1645
42 O 0.3654 0.3351 0.3355
43 O 0.3351 0.3654 0.8355
44 O 0.6346 0.6649 0.6645
45 O 0.7711 0.3667 0.8822
46 O 0.6333 0.2289 0.6178
47 O 0.2289 0.6333 0.1178
48 O 0.3667 0.7711 0.3822
49 O 0.2076 0.0586 0.2692
50 O 0.9414 0.7924 0.2308
51 O 0.7924 0.9414 0.7308
52 O 0.0586 0.2076 0.7692
53 O 0.0839 0.5220 0.3605
54 O 0.4780 0.9161 0.1395
55 O 0.9161 0.4780 0.6395
56 O 0.5220 0.0839 0.8605
57 O 0.0488 0.3358 0.0377
58 O 0.6642 0.9512 0.4623
59 O 0.9512 0.6642 0.9623
60 O 0.3358 0.0488 0.5377
61 O 0.9486 0.1558 0.5213
62 O 0.8442 0.0514 0.9787
63 O 0.0514 0.8442 0.4787
64 O 0.1558 0.9486 0.0213

Computed properties:
total moment = 0.0 μB per cell

=====

Record 8
VASP calculation (PBE) on a geometry-optimized Cs2InAgI6 structure.

abc: 8.5054 8.5054 8.5054
angles: 60.00 60.00 60.00
Positions (direct):
1 Cs 0.7500 0.7500 0.7500
2 Cs 0.2500 0.2500 0.2500
3 In 0.0000 0.0000 0.0000
4 Ag 0.5000 0.5000 0.5000
5 I 0.7520 0.2480 0.2480
6 I 0.2480 0.2480 0.7520
7 I 0.2480 0.7520 0.7520
8 I 0.2480 0.7520 0.2480
9 I 0.7520 0.2480 0.7520
10 I 0.7520 0.7520 0.2480

Computed properties:
total moment = 0.0 μB per cell

=====

| no. | formation energy from the elements (kJ/mol of formula units) |
| --- | --- |
| 1 | -105 |
| 2 | 15 |
| 3 | -468 |
| 4 | -131 |
| 5 | -404 |
| 6 | -270 |
| 7 | -1445 |
| 8 | -1050 |